1.
VASP calculation (PBE) on Na2CuAuF6 after structural relaxation.

```
Na2CuAuF6
1.0
0.000 4.220 4.220
4.220 0.000 4.220
4.220 4.220 0.000
Na Cu Au F
2 1 1 6
Cartesian
2.110 2.110 2.110 Na
6.329 6.329 6.329 Na
0.000 0.000 0.000 Cu
4.220 4.220 4.220 Au
4.220 4.220 1.983 F
4.220 1.983 4.220 F
6.456 4.220 4.220 F
1.983 4.220 4.220 F
4.220 6.456 4.220 F
4.220 4.220 6.456 F
```

The total energy after the MP2020 corrections is -4.1251 eV per atom. For the total magnetization, the calculation gives 0.00 μB/f.u.

2.
VASP calculation (PBE) on LiCuAu2 after structural relaxation.

```
LiCuAu2
1.0
6.232 0.000 0.000
0.000 6.232 0.000
0.000 0.000 6.232
Li Cu Au
4 4 8
Cartesian
0.000 0.000 0.000 Li
0.000 3.116 3.116 Li
3.116 0.000 3.116 Li
3.116 3.116 0.000 Li
0.000 0.000 3.116 Cu
0.000 3.116 0.000 Cu
3.116 0.000 0.000 Cu
3.116 3.116 3.116 Cu
1.558 1.558 1.558 Au
1.558 1.558 4.674 Au
1.558 4.674 1.558 Au
1.558 4.674 4.674 Au
4.674 1.558 1.558 Au
4.674 1.558 4.674 Au
4.674 4.674 1.558 Au
4.674 4.674 4.674 Au
```

no.,formation energy (meV/atom)
1,-1975
2,-303